Arrangement one

BaMgMnV2Ag2O8 after structural relaxation. Source: Materials Project, functional GGA+U.

a = 5.5622 Å, b = 5.7216 Å, c = 7.4694 Å
α = 90.86°, β = 93.28°, γ = 111.04°
Closest atoms and distances in Å follow each position.
Space group P1 (No. 1)
One atom of each set of equivalent atoms:
Ba (0.0000, 0.0000, 0.0000) x1  5 O 2.75-2.90
Mg (0.5728, 0.9427, 0.5562) x1  5 O 2.02-2.10
Mn (0.1088, 0.0778, 0.4685) x1  5 O 2.12-2.29
V (0.4038, 0.6596, 0.2326) x1  4 O 1.76-1.92
V (0.6762, 0.4015, 0.7697) x1  3 O 1.74-1.89
Ag (0.2219, 0.5639, 0.7620) x1  3 O 2.21-2.47
Ag (0.8067, 0.4353, 0.3162) x1  5 O 2.41-2.68
O (0.2379, 0.7789, 0.4030) x1  1 V 1.87, 1 Mg 2.03
O (0.3036, 0.3267, 0.2701) x1  1 V 1.81
O (0.3609, 0.7743, 0.0211) x1  1 V 1.76
O (0.3726, 0.1287, 0.6942) x1  1 V 1.89, 1 Mg 2.09, 1 Mn 2.12
O (0.6869, 0.7081, 0.7084) x1  1 V 1.80
O (0.7400, 0.8766, 0.3252) x1  1 V 1.92, 1 Mg 2.10
O (0.7717, 0.3824, 0.9939) x1  1 V 1.74
O (0.8750, 0.2667, 0.6181) x1  1 V 1.96, 1 Mg 2.03

crystal system	triclinic
total magnetic moment	5.000	μB per cell


Arrangement two

BaMgMnV2Ag2O8 after structural relaxation. Source: Materials Project, functional GGA+U.

a = 5.7029 Å, b = 5.7354 Å, c = 7.6469 Å
α = 97.40°, β = 90.76°, γ = 114.98°
Closest atoms and distances in Å follow each position.
Space group P1 (No. 1)
One atom of each set of equivalent atoms:
Ba (0.0000, 0.0000, 0.0000) x1  6 O 2.69-2.94
Mg (0.4505, 0.4782, 0.8136) x1  4 O 1.96-2.06
Mn (0.1003, 0.1762, 0.4501) x1  6 O 2.16-2.30
V (0.4811, 0.9093, 0.6926) x1  4 O 1.78-1.90
V (0.7205, 0.4469, 0.2005) x1  4 O 1.83-1.87
Ag (0.4134, 0.7904, 0.2553) x1  4 O 2.39-2.61
Ag (0.8993, 0.6114, 0.5799) x1  3 O 2.25-2.50
O (0.2637, 0.5540, 0.6113) x1  1 V 1.90, 1 Mg 2.06
O (0.3316, 0.1285, 0.6794) x1  1 V 1.80, 1 Mg 1.96
O (0.3801, 0.3582, 0.2441) x1  1 V 1.83
O (0.4781, 0.8291, 0.9209) x1  1 V 1.86, 1 Mg 2.01
O (0.7340, 0.4763, 0.9645) x1  1 V 1.83, 1 Mg 1.98
O (0.7985, 0.9600, 0.6357) x1  1 V 1.78
O (0.8006, 0.2030, 0.2858) x1  1 V 1.83
O (0.9875, 0.7731, 0.2882) x1  1 V 1.87

crystal system	triclinic
total magnetic moment	3.000	μB per cell


Q: What are the energies relative to the best structure? A: arrangement one 0; arrangement two 61, in meV/atom.


Arrangement one

CaMn4Ag4O16 after structural relaxation. Source: Materials Project, functional GGA+U.

a = 5.5708 Å, b = 8.2971 Å, c = 9.1944 Å
α = 91.98°, β = 99.83°, γ = 96.53°
Closest atoms and distances in Å follow each position.
Space group P1 (No. 1)
One atom of each set of equivalent atoms:
Ca (0.0000, 0.0000, 0.0000) x1  4 O 2.23-2.31
Mn (0.2710, 0.0135, 0.4217) x1  4 O 1.63-1.71
Mn (0.3886, 0.7765, 0.8637) x1  4 O 1.66-1.78
Mn (0.8489, 0.5254, 0.3116) x1  4 O 1.62-1.65
Mn (0.8788, 0.3056, 0.7835) x1  4 O 1.61-1.68
Ag (0.3862, 0.4615, 0.5878) x1  6 O 2.28-2.44
Ag (0.4335, 0.3775, 0.0216) x1  4 O 2.16-2.38
Ag (0.6156, 0.9062, 0.2073) x1  3 O 2.13-2.37
Ag (0.8094, 0.8403, 0.6152) x1  4 O 2.17-2.33
O (0.0355, 0.4428, 0.7057) x1  1 Mn 1.62
O (0.0426, 0.2718, 0.9486) x1  1 Mn 1.68
O (0.1049, 0.8670, 0.4885) x1  1 Mn 1.64
O (0.1172, 0.8586, 0.8181) x1  1 Mn 1.72
O (0.1325, 0.5015, 0.3734) x1  1 Mn 1.62
O (0.1359, 0.0348, 0.2463) x1  1 Mn 1.68
O (0.3040, 0.1849, 0.5193) x1  1 Mn 1.63
O (0.3574, 0.6285, 0.9784) x1  1 Mn 1.66
O (0.5151, 0.7208, 0.7146) x1  1 Mn 1.72
O (0.5533, 0.9508, 0.4271) x1  1 Mn 1.71
O (0.5937, 0.9345, 0.9693) x1  1 Mn 1.78
O (0.6175, 0.3683, 0.8066) x1  1 Mn 1.64
O (0.7058, 0.5575, 0.4494) x1  1 Mn 1.64
O (0.7137, 0.3603, 0.2131) x1  1 Mn 1.65
O (0.8255, 0.1358, 0.6872) x1  1 Mn 1.61
O (0.8383, 0.6799, 0.2072) x1  1 Mn 1.63

crystal system	triclinic
total magnetic moment	2.003	μB per cell


Arrangement two

CaMn4Ag4O16 after structural relaxation. Source: Materials Project, functional GGA+U.

a = 5.6036 Å, b = 8.0341 Å, c = 8.6121 Å
α = 92.92°, β = 90.68°, γ = 97.15°
Closest atoms and distances in Å follow each position.
Space group P1 (No. 1)
One atom of each set of equivalent atoms:
Ca (0.0000, 0.0000, 0.0000) x1  6 O 2.31-2.57
Mn (0.4346, 0.8129, 0.0209) x1  4 O 1.64-1.72
Mn (0.4731, 0.5757, 0.5125) x1  4 O 1.62-1.66
Mn (0.9267, 0.3524, 0.1115) x1  4 O 1.64-1.73
Mn (0.9676, 0.0882, 0.6053) x1  4 O 1.62-1.66
Ag (0.4212, 0.3531, 0.8616) x1  4 O 2.20-2.34
Ag (0.4568, 0.1350, 0.3238) x1  5 O 2.26-2.43
Ag (0.9854, 0.5771, 0.7672) x1  4 O 2.23-2.29
Ag (0.9967, 0.7565, 0.3312) x1  4 O 2.22-2.36
O (0.1158, 0.0250, 0.4524) x1  1 Mn 1.66
O (0.1192, 0.2576, 0.6906) x1  1 Mn 1.65
O (0.1854, 0.2696, 0.0551) x1  1 Mn 1.73
O (0.2091, 0.6339, 0.5574) x1  1 Mn 1.65
O (0.2769, 0.8831, 0.1763) x1  1 Mn 1.72
O (0.2788, 0.6343, 0.9460) x1  1 Mn 1.68
O (0.4199, 0.9613, 0.8977) x1  1 Mn 1.64
O (0.4401, 0.4182, 0.3865) x1  1 Mn 1.62
O (0.6073, 0.5199, 0.6716) x1  1 Mn 1.66
O (0.6391, 0.7348, 0.4430) x1  1 Mn 1.63
O (0.7073, 0.1327, 0.5485) x1  1 Mn 1.62
O (0.7136, 0.7830, 0.0695) x1  1 Mn 1.66
O (0.7626, 0.1655, 0.1548) x1  1 Mn 1.72
O (0.7912, 0.4180, 0.9524) x1  1 Mn 1.70
O (0.9372, 0.9395, 0.7308) x1  1 Mn 1.65
O (0.9586, 0.4839, 0.2641) x1  1 Mn 1.64

crystal system	triclinic
total magnetic moment	2.001	μB per cell


Q: What are the energies relative to the best structure? A: arrangement one 23; arrangement two 0, in meV/atom.


Arrangement one

Ca2AgWO6 after structural relaxation. Source: Materials Project, functional GGA+U.

a = 5.6270 Å, b = 5.9232 Å, c = 9.6665 Å
α = 90.00°, β = 125.09°, γ = 90.00°
Closest atoms and distances in Å follow each position.
Space group P2_1/c (No. 14)
One atom of each set of equivalent atoms:
Ca (0.2270, 0.0639, 0.2455) x4  5 O 2.35-2.59
Ag (0.0000, 0.0000, 0.5000) x2  6 O 2.26-2.41
W (0.5000, 0.0000, 0.0000) x2  6 O 1.94-1.98
O (0.1618, 0.1716, 0.9465) x4  1 W 1.95
O (0.2677, 0.7270, 0.9267) x4  1 W 1.94
O (0.3900, 0.0567, 0.7682) x4  1 W 1.98

crystal system	monoclinic
total magnetic moment	1.999	μB per cell


Arrangement two

Ca2AgWO6 after structural relaxation. Source: Materials Project, functional GGA+U.

a = 5.5439 Å, b = 5.8033 Å, c = 5.8049 Å
α = 117.39°, β = 118.52°, γ = 90.05°
Closest atoms and distances in Å follow each position.
Space group P1 (No. 1)
One atom of each set of equivalent atoms:
Ca (0.0000, 0.0000, 0.0000) x1  5 O 2.27-2.42
Ca (0.4918, 0.4867, 0.9985) x1  6 O 2.31-2.56
Ag (0.2279, 0.6626, 0.4546) x1  4 O 2.17-2.39
W (0.7104, 0.1280, 0.4249) x1  6 O 1.90-2.06
O (0.0453, 0.3396, 0.5206) x1  1 W 1.91
O (0.3521, 0.8491, 0.2625) x1  1 W 2.06, 1 Ag 2.17, 1 Ca 2.30
O (0.4561, 0.3314, 0.2957) x1  1 W 1.94
O (0.6132, 0.8802, 0.0042) x1  1 W 1.96
O (0.7814, 0.2914, 0.8287) x1  1 W 1.90
O (0.9148, 0.8657, 0.5180) x1  1 W 2.02, 1 Ag 2.18

crystal system	triclinic
total magnetic moment	1.000	μB per cell


Q: What are the energies relative to the best structure? A: arrangement one 0; arrangement two 14, in meV/atom.


Arrangement one

MgCr2Ag6Cl2O8 after structural relaxation. Source: Materials Project, functional GGA+U.

a = 7.5709 Å, b = 7.5709 Å, c = 5.4440 Å
α = 90.00°, β = 90.00°, γ = 90.00°
Closest atoms and distances in Å follow each position.
Space group P-4m2 (No. 115)
One atom of each set of equivalent atoms:
Mg (0.0000, 0.0000, 0.0000) x1  4 O 2.00
Cr (0.0000, 0.0000, 0.5000) x1  4 O 1.83
Cr (0.5000, 0.5000, 0.5000) x1  4 O 1.69
Ag (0.0000, 0.5000, 0.3762) x2  4 O 2.45-2.51, 1 Cl 2.59
Ag (0.2755, 0.2755, 0.0000) x4  4 O 2.44-2.66
Cl (0.0000, 0.5000, 0.8521) x2  6 Ag 2.59-2.85
O (0.0000, 0.1776, 0.2726) x4  1 Cr 1.83, 1 Mg 2.00
O (0.3203, 0.5000, 0.3165) x4  1 Cr 1.69

crystal system	tetragonal
total magnetic moment	1.994	μB per cell


Arrangement two

MgCr2Ag6Cl2O8 after structural relaxation. Source: Materials Project, functional GGA+U.

a = 10.6274 Å, b = 10.6336 Å, c = 5.6039 Å
α = 90.00°, β = 96.02°, γ = 90.00°
Closest atoms and distances in Å follow each position.
Space group C2/m (No. 12)
One atom of each set of equivalent atoms:
Mg (0.0000, 0.0000, 0.0000) x2  4 O 2.03
Cr (0.0000, 0.2578, 0.0000) x4  4 O 1.72-1.78
Ag (0.0000, 0.0000, 0.5000) x2  4 O 2.57, 2 Cl 2.69, 2 Mg 2.80
Ag (0.0000, 0.5000, 0.5000) x2  4 O 2.56
Ag (0.2256, 0.5000, 0.1183) x4  4 O 2.34-2.52
Ag (0.2500, 0.2500, 0.5000) x4  2 O 2.39
Cl (0.2311, 0.0000, 0.3441) x4  6 Ag 2.68-3.00, 1 Mg 2.96
O (0.0862, 0.1454, 0.8465) x8  1 Cr 1.78
O (0.0900, 0.3400, 0.2210) x8  1 Cr 1.72

crystal system	monoclinic
total magnetic moment	3.984	μB per cell


Q: What are the energies relative to the best structure? A: arrangement one 0; arrangement two 20, in meV/atom.